# Cd6P7NO24 PBE relaxed
data_Cd6P7NO24
_cell_length_a 5.5569
_cell_length_b 27.7855
_cell_length_c 6.8983
_cell_angle_alpha 90.00
_cell_angle_beta 107.27
_cell_angle_gamma 90.00
_space_group_name_H-M_alt 'P 1 m 1'
_space_group_IT_number 6
loop_
_space_group_symop_operation_xyz
'x,y,z'
'x,-y,z'
loop_
_atom_site_label
_atom_site_fract_x
_atom_site_fract_y
_atom_site_fract_z
_atom_site_occupancy
Cd1 0.0000 0.0649 0.0000 1
Cd2 0.0724 0.2073 0.3861 1
Cd3 0.1036 0.3497 0.7792 1
Cd4 0.6813 0.1506 0.6210 1
Cd5 0.7118 0.2938 0.0146 1
Cd6 0.7845 0.4352 0.4009 1
P1 0.1390 0.0795 0.5306 1
P2 0.1863 0.2257 0.9085 1
P3 0.2239 0.3573 0.3106 1
P4 0.3639 0.5000 0.5940 1
P5 0.4189 0.0000 0.8090 1
P6 0.5614 0.1425 0.0901 1
P7 0.5978 0.2744 0.4919 1
P8 0.6460 0.4206 0.8710 1
N1 0.1474 0.5000 0.0529 1
N2 0.6173 0.0000 0.3514 1
O1 0.0247 0.0543 0.3294 1
O2 0.0314 0.2020 0.7097 1
O3 0.0334 0.2294 0.0609 1
O4 0.0451 0.3456 0.0983 1
O5 0.0697 0.3717 0.4548 1
O6 0.0850 0.5000 0.4817 1
O7 0.2303 0.0000 0.9302 1
O8 0.2709 0.1269 0.5086 1
O9 0.3010 0.2744 0.8739 1
O10 0.3441 0.3052 0.3952 1
O11 0.3619 0.1070 0.0981 1
O12 0.3732 0.0460 0.6643 1
O13 0.4099 0.4542 0.7397 1
O14 0.4291 0.3920 0.3049 1
O15 0.4363 0.1941 0.0031 1
O16 0.4849 0.2256 0.5274 1
O17 0.5136 0.3731 0.8923 1
O18 0.5498 0.5000 0.4716 1
O19 0.6978 0.0000 0.9232 1
O20 0.7173 0.1285 0.9462 1
O21 0.7401 0.1550 0.3019 1
O22 0.7501 0.2710 0.3391 1
O23 0.7505 0.2988 0.6893 1
O24 0.7637 0.4456 0.0724 1
O25 0.8293 0.4158 0.7430 1
O26 0.9548 0.0845 0.6564 1
# * calculated formation energy: -2078 meV per atom
# * ρ: 4.2 Mg/m³
# * electronic total energy: -6.1310 eV/atom